This record from Materials Project describes PrMnIn after structural relaxation. The functional is PBE-GGA.

Cell: 4.840 4.840 3.780 Å, 90.00 90.00 120.00°
Element x y z (fractional)
Pr (0.000, 0.000, 0.000)
Mn (0.333, 0.667, 0.500)
In (0.667, 0.333, 0.500)

Output
calculated formation energy: -0.070 eV/atom
total moment: 3.6 μB per cell
total energy: -5.63 eV/atom

---

This record from Materials Project describes MnIn2Se2S2 after structural relaxation. The functional is PBE-GGA.

Cell: 13.798 13.798 13.798 Å, 16.90 16.90 16.90°
Element x y z (fractional)
Mn (0.000, 0.000, 0.000)
In (0.233, 0.233, 0.233)
In (0.463, 0.463, 0.463)
Se (0.527, 0.527, 0.527)
Se (0.934, 0.934, 0.934)
S (0.105, 0.105, 0.105)
S (0.345, 0.345, 0.345)

Output
calculated formation energy: -0.612 eV/atom
ΔE to the lowest computed polymorph: 0 meV/atom
total energy: -4.74 eV/atom

---

This record from Materials Project describes Mn4In4Se5S5 after structural relaxation. The functional is PBE-GGA.

Cell: 3.975 6.918 16.747 Å, 101.66 96.64 90.09°
Element x y z (fractional)
Mn (0.000, 0.000, 0.000)
Mn (0.093, 0.753, 0.182)
Mn (0.499, 0.511, 0.999)
Mn (0.592, 0.279, 0.180)
In (0.207, 0.216, 0.415)
In (0.391, 0.063, 0.779)
In (0.705, 0.711, 0.409)
In (0.889, 0.560, 0.776)
Se (0.131, 0.136, 0.259)
Se (0.245, 0.915, 0.491)
Se (0.350, 0.353, 0.697)
Se (0.746, 0.425, 0.493)
Se (0.852, 0.856, 0.698)
S (0.046, 0.390, 0.093)
S (0.463, 0.138, 0.927)
S (0.545, 0.880, 0.089)
S (0.631, 0.638, 0.260)
S (0.962, 0.634, 0.925)

Output
calculated formation energy: -0.621 eV/atom
total moment: 20.0 μB per cell
total energy: -5.25 eV/atom

---

This record from Materials Project describes MnIn2Se2S2 after structural relaxation. The functional is PBE-GGA.

Cell: 13.003 13.003 13.003 Å, 18.02 18.02 18.02°
Element x y z (fractional)
Mn (0.000, 0.000, 0.000)
In (0.236, 0.236, 0.236)
In (0.465, 0.465, 0.465)
Se (0.101, 0.101, 0.101)
Se (0.355, 0.355, 0.355)
S (0.531, 0.531, 0.531)
S (0.936, 0.936, 0.936)

Output
calculated formation energy: -0.609 eV/atom
ΔE to the lowest computed polymorph: 3 meV/atom
total moment: 4.8 μB per cell
total energy: -4.74 eV/atom

---

This record from Materials Project describes Mn4InSb3 after structural relaxation. The functional is PBE-GGA.

Cell: 4.063 4.063 11.311 Å, 90.00 90.00 120.00°
Element x y z (fractional)
Mn (0.000, 0.000, 0.123)
Mn (0.000, 0.000, 0.371)
Mn (0.000, 0.000, 0.629)
Mn (0.000, 0.000, 0.877)
In (0.667, 0.333, 0.500)
Sb (0.333, 0.667, 0.251)
Sb (0.333, 0.667, 0.749)
Sb (0.667, 0.333, 0.000)

Output
calculated formation energy: 0.002 eV/atom
total moment: 12.2 μB per cell
total energy: -6.40 eV/atom

---

This record from Materials Project describes SmMnIn after structural relaxation. The functional is PBE-GGA.

Cell: 4.535 4.535 3.878 Å, 90.00 90.00 120.00°
Element x y z (fractional)
Sm (0.000, 0.000, 0.000)
Mn (0.333, 0.667, 0.500)
In (0.667, 0.333, 0.500)

Output
calculated formation energy: -0.027 eV/atom
total moment: 3.2 μB per cell
total energy: -5.57 eV/atom

---

This record from Materials Project describes Tm2Mn12InSn11 after structural relaxation. The functional is PBE-GGA.

Cell: 5.447 5.447 18.052 Å, 90.00 90.00 120.00°
Element x y z (fractional)
Tm (0.000, 0.000, 0.250)
Tm (0.000, 0.000, 0.750)
Mn (0.000, 0.500, 0.127)
Mn (0.000, 0.500, 0.873)
Mn (0.001, 0.500, 0.373)
Mn (0.001, 0.500, 0.627)
Mn (0.500, 0.000, 0.127)
Mn (0.500, 0.000, 0.873)
Mn (0.500, 0.500, 0.127)
Mn (0.500, 0.500, 0.373)
Mn (0.500, 0.500, 0.627)
Mn (0.500, 0.500, 0.873)
Mn (0.500, 0.999, 0.373)
Mn (0.500, 0.999, 0.627)
In (0.667, 0.333, 0.500)
Sn (0.000, 0.000, 0.083)
Sn (0.000, 0.000, 0.417)
Sn (0.000, 0.000, 0.583)
Sn (0.000, 0.000, 0.917)
Sn (0.333, 0.667, 0.000)
Sn (0.333, 0.667, 0.250)
Sn (0.333, 0.667, 0.500)
Sn (0.333, 0.667, 0.750)
Sn (0.667, 0.333, 0.000)
Sn (0.667, 0.333, 0.250)
Sn (0.667, 0.333, 0.750)

Output
calculated formation energy: -0.111 eV/atom
total moment: 26.3 μB per cell
total energy: -6.49 eV/atom

---

This record from Materials Project describes TmMn6InSn5 after structural relaxation. The functional is PBE-GGA.

Cell: 5.412 5.412 9.028 Å, 90.00 90.00 120.00°
Element x y z (fractional)
Tm (0.000, 0.000, 0.000)
Mn (0.001, 0.500, 0.246)
Mn (0.001, 0.500, 0.754)
Mn (0.500, 0.500, 0.246)
Mn (0.500, 0.500, 0.754)
Mn (0.500, 0.999, 0.246)
Mn (0.500, 0.999, 0.754)
In (0.667, 0.333, 0.500)
Sn (0.000, 0.000, 0.333)
Sn (0.000, 0.000, 0.667)
Sn (0.333, 0.667, 0.000)
Sn (0.333, 0.667, 0.500)
Sn (0.667, 0.333, 0.000)

Output
calculated formation energy: -0.105 eV/atom
total moment: 13.6 μB per cell
total energy: -6.43 eV/atom

---

Among the records above, which one has the lowest total energy?
Tm2Mn12InSn11

---

What is the total energy in the sixth record?
-5.57 eV/atom